The following is a DFT calculation (GGA-PBE) of a relaxed structure of TbGdIr2.

Cell: 6.9259 6.9259 6.9259 Å, 90.00 90.00 90.00°
Closest atoms and distances in Å follow each position.
Space group Fm-3m (No. 225)
Unique sites:
Tb (0.0000, 0.0000, 0.0000) [4 per cell]  8 Ir 3.00
Gd (0.0000, 0.0000, 0.5000) [4 per cell]  8 Ir 3.00
Ir (0.2500, 0.2500, 0.2500) [8 per cell]  4 Gd 3.00, 4 Tb 3.00

Summary:
Its theoretical density is 14.0 g cm⁻³. For the formation energy, the calculation gives -0.773 eV/atom.